Here is a relaxed SrCu3NiSe4 crystal from Materials Project. Energies are from PBE.

Total moment   3.00 μB/f.u.
Calculated formation energy   -0.61 eV per atom

The structure in POSCAR format:
```
SrCu3NiSe4
1.0
6.011 0.000 0.000
0.000 6.011 0.000
0.000 0.000 6.011
Sr Cu Ni Se
1 3 1 4
Direct
0.500 0.500 0.500
0.000 0.500 0.000
0.000 0.000 0.500
0.500 0.000 0.000
0.000 0.000 0.000
0.223 0.223 0.223
0.777 0.777 0.223
0.223 0.777 0.777
0.777 0.223 0.777
```